DFT (PBE-GGA) results for a relaxed structure of LiTiP2O7.

Results
Final energy: -7.39 eV/atom
Energy relative to the elements: -2.803 eV per atom
Mass density: 2.6 g/cm3

Cell lengths 5.270, 8.202, 14.393 Å; angles 90.00, 111.43, 90.00 degrees
Space group P2_1/c (No. 14)
Symmetry-distinct sites (fractional):
Li: 0.057 0.236 0.256 x4
Ti: 0.326 0.651 0.124 x4
P: 0.328 0.204 0.522 x4
P: 0.457 0.042 0.178 x4
O: 0.075 0.205 0.424 x4
O: 0.263 0.064 0.233 x4
O: 0.279 0.636 0.262 x4
O: 0.292 0.086 0.600 x4
O: 0.330 0.114 0.066 x4
O: 0.405 0.681 0.994 x4
O: 0.478 0.137 0.837 x4